Below is LiTe4H4O6F8 after structural relaxation, with properties calculated at the PBE-GGA level.

Summary:
Magnetic moment ... 0.04 μB/atom
Polymorph energy (0 for the lowest one) ... 0 meV per atom
DFT formation energy ... -1883 meV per atom
Symmetry ... No. 1
Energy ... -108.6 eV for the cell shown
Crystal system ... triclinic

a = 5.036 Å, b = 6.575 Å, c = 11.553 Å
α = 82.35°, β = 78.56°, γ = 67.21°
Sites, in units of the cell vectors:
O  0.638  0.665  0.714
O  0.031  0.181  0.780
O  0.838  0.441  0.498
O  0.979  0.853  0.243
O  0.038  0.367  0.249
O  0.003  0.920  0.982
Te  0.746  0.199  0.924
Te  0.399  0.789  0.586
Te  0.891  0.735  0.120
Te  0.778  0.294  0.386
H  0.161  0.749  0.273
H  0.204  0.236  0.217
H  0.228  0.140  0.804
H  0.651  0.787  0.751
Li  0.991  0.407  0.643
F  0.313  0.565  0.076
F  0.565  0.032  0.568
F  0.963  0.344  0.989
F  0.583  0.030  0.833
F  0.526  0.035  0.133
F  0.148  0.034  0.413
F  0.279  0.519  0.641
F  0.494  0.596  0.321